PBE-GGA Ca3ReN4, relaxed; piezoelectric modulus e_max = 0.815 C/m²
1.0
-5.973 15.833 -2.348
-5.074 -9.126 13.522
7.158 3.443 5.010
N Ca Re
72 54 18
Direct
0.940 0.213 0.560
0.986 0.806 0.641
0.536 0.334 0.247
0.492 0.836 0.232
0.334 0.536 0.747
0.186 0.835 0.702
0.842 0.322 0.408
0.678 0.520 0.408
0.528 0.949 0.487
0.676 0.840 0.338
0.421 0.472 0.487
0.836 0.492 0.732
0.579 0.051 0.987
0.865 0.863 0.297
0.878 0.609 0.474
0.135 0.998 0.797
0.324 0.163 0.838
0.164 0.657 0.232
0.454 0.038 0.724
0.179 0.194 0.141
0.962 0.417 0.724
0.391 0.269 0.474
0.659 0.463 0.926
0.840 0.676 0.838
0.343 0.508 0.232
0.798 0.464 0.247
0.269 0.391 0.974
0.322 0.842 0.908
0.649 0.814 0.702
0.122 0.731 0.974
0.160 0.837 0.338
0.835 0.186 0.202
0.137 0.002 0.297
0.351 0.165 0.202
0.727 0.787 0.060
0.508 0.343 0.732
0.213 0.940 0.060
0.417 0.962 0.224
0.165 0.351 0.702
0.472 0.421 0.987
0.821 0.014 0.641
0.814 0.649 0.202
0.464 0.798 0.747
0.546 0.583 0.224
0.657 0.164 0.732
0.537 0.197 0.926
0.051 0.579 0.487
0.060 0.273 0.060
0.038 0.454 0.224
0.837 0.160 0.838
0.609 0.878 0.974
0.014 0.821 0.141
0.194 0.179 0.641
0.583 0.546 0.724
0.480 0.158 0.408
0.163 0.324 0.338
0.666 0.202 0.247
0.202 0.666 0.747
0.273 0.060 0.560
0.158 0.480 0.908
0.731 0.122 0.474
0.463 0.659 0.426
0.002 0.137 0.797
0.863 0.865 0.797
0.803 0.341 0.926
0.197 0.537 0.426
0.998 0.135 0.297
0.806 0.986 0.141
0.520 0.678 0.908
0.949 0.528 0.987
0.341 0.803 0.426
0.787 0.727 0.560
0.437 0.180 0.651
0.530 0.424 0.503
0.333 0.667 0.312
0.000 0.000 0.251
0.118 0.522 0.657
0.667 0.333 0.812
0.259 0.445 0.492
0.596 0.478 0.157
0.850 0.082 0.394
0.445 0.259 0.992
0.150 0.232 0.894
0.820 0.257 0.651
0.667 0.333 0.337
0.563 0.743 0.151
0.688 0.031 0.682
0.768 0.918 0.894
0.478 0.596 0.657
0.331 0.022 0.348
0.089 0.223 0.552
0.031 0.688 0.182
0.918 0.768 0.394
0.312 0.343 0.182
0.777 0.866 0.552
0.106 0.576 0.003
0.669 0.691 0.848
0.232 0.150 0.394
0.186 0.741 0.492
0.576 0.106 0.503
0.082 0.850 0.894
0.814 0.555 0.992
0.555 0.814 0.492
0.657 0.969 0.182
0.470 0.894 0.003
0.894 0.470 0.503
0.969 0.657 0.682
0.911 0.134 0.052
0.000 0.000 0.751
0.257 0.820 0.151
0.404 0.882 0.657
0.333 0.667 0.837
0.343 0.312 0.682
0.134 0.911 0.552
0.978 0.309 0.348
0.309 0.978 0.848
0.180 0.437 0.151
0.882 0.404 0.157
0.424 0.530 0.003
0.691 0.669 0.348
0.741 0.186 0.992
0.866 0.777 0.052
0.522 0.118 0.157
0.223 0.089 0.052
0.743 0.563 0.651
0.022 0.331 0.848
0.766 0.208 0.332
0.108 0.553 0.341
0.234 0.442 0.832
0.555 0.447 0.841
0.892 0.445 0.841
0.771 0.870 0.210
0.098 0.229 0.210
0.553 0.108 0.841
0.558 0.792 0.832
0.229 0.098 0.710
0.445 0.892 0.341
0.447 0.555 0.341
0.870 0.771 0.710
0.792 0.558 0.332
0.130 0.902 0.210
0.902 0.130 0.710
0.208 0.766 0.832
0.442 0.234 0.332

=====

The following is a DFT calculation (PBE-GGA) of a geometry-optimized Ca7ReN6 structure.

Geometry as POSCAR:
```
Ca7ReN6
1.0
-0.248 5.846 -2.718
8.156 2.468 -3.091
-1.420 -0.651 -8.929
Ca N Re
14 12 2
Direct
0.998 0.649 0.095
0.502 0.405 0.851
0.742 0.905 0.351
0.498 0.595 0.149
0.750 0.750 0.750
0.242 0.851 0.405
0.250 0.250 0.250
0.002 0.351 0.905
0.258 0.095 0.649
0.758 0.149 0.595
0.729 0.041 0.959
0.271 0.959 0.041
0.229 0.459 0.541
0.771 0.541 0.459
0.098 0.655 0.345
0.598 0.845 0.155
0.002 0.083 0.307
0.109 0.583 0.807
0.402 0.155 0.845
0.609 0.307 0.083
0.891 0.417 0.193
0.998 0.917 0.693
0.391 0.693 0.917
0.498 0.193 0.417
0.902 0.345 0.655
0.502 0.807 0.583
0.750 0.250 0.250
0.250 0.750 0.750
```

=====

The following is a DFT calculation (PBE-GGA) of a geometry-optimized Ca3ReN3 structure.

Geometry as POSCAR:
```
Ca3ReN3
1.0
7.450 0.004 0.000
-3.722 6.457 0.000
0.000 0.000 5.049
N Ca Re
6 6 2
Direct
0.605 0.713 0.250
0.712 0.107 0.750
0.892 0.604 0.750
0.395 0.287 0.750
0.288 0.893 0.250
0.108 0.396 0.250
0.643 0.744 0.750
0.256 0.899 0.750
0.899 0.643 0.250
0.744 0.101 0.250
0.101 0.357 0.750
0.357 0.256 0.250
0.333 0.667 0.250
0.667 0.333 0.750
```

=====

The following is a DFT calculation (PBE-GGA) of a geometry-optimized Ca5Re2N6 structure.

Geometry as POSCAR:
```
Ca5Re2N6
1.0
6.044 -0.194 -0.103
-3.493 5.677 0.000
-2.196 -1.351 12.449
N Ca Re
12 10 4
Direct
0.413 0.742 0.414
0.910 0.995 0.624
0.090 0.085 0.876
0.910 0.915 0.124
0.720 0.319 0.356
0.280 0.681 0.644
0.720 0.401 0.856
0.587 0.258 0.586
0.587 0.329 0.086
0.090 0.005 0.376
0.413 0.671 0.914
0.280 0.599 0.144
0.319 0.266 0.216
0.681 0.947 0.284
0.880 0.682 0.501
0.319 0.053 0.716
0.880 0.198 0.001
0.000 0.622 0.250
0.120 0.318 0.499
0.000 0.378 0.750
0.120 0.802 0.999
0.681 0.734 0.784
0.540 0.675 0.060
0.540 0.865 0.560
0.460 0.135 0.440
0.460 0.325 0.940
```

=====

Quick rundown of formation energy, same order as above: -1.002, -0.907, -0.908, -0.906 eV/atom